Ca3Cr2Si3O12: optimized geometry, GGA+U.

Cell lengths 10.529, 10.529, 10.529 Å; angles 109.47, 109.47, 109.47 degrees
Positions (direct):
O  0.797  0.884  0.991
O  0.694  0.107  0.991
O  0.893  0.384  0.587
O  0.884  0.991  0.797
O  0.107  0.616  0.413
O  0.991  0.694  0.107
O  0.107  0.991  0.694
O  0.616  0.413  0.107
O  0.009  0.306  0.893
O  0.913  0.297  0.306
O  0.587  0.194  0.203
O  0.616  0.703  0.509
O  0.393  0.087  0.884
O  0.607  0.194  0.491
O  0.509  0.616  0.703
O  0.913  0.116  0.607
O  0.491  0.607  0.194
O  0.893  0.009  0.306
O  0.384  0.587  0.893
O  0.703  0.694  0.087
O  0.306  0.913  0.297
O  0.797  0.413  0.806
O  0.509  0.393  0.806
O  0.694  0.087  0.703
O  0.384  0.297  0.491
O  0.991  0.797  0.884
O  0.116  0.009  0.203
O  0.393  0.806  0.509
O  0.203  0.116  0.009
O  0.884  0.393  0.087
O  0.194  0.491  0.607
O  0.413  0.806  0.797
O  0.297  0.306  0.913
O  0.009  0.203  0.116
O  0.703  0.509  0.616
O  0.116  0.607  0.913
O  0.587  0.893  0.384
O  0.806  0.797  0.413
O  0.203  0.587  0.194
O  0.607  0.913  0.116
O  0.806  0.509  0.393
O  0.297  0.491  0.384
O  0.087  0.703  0.694
O  0.194  0.203  0.587
O  0.413  0.107  0.616
O  0.491  0.384  0.297
O  0.087  0.884  0.393
O  0.306  0.893  0.009
Ca  0.250  0.875  0.625
Ca  0.875  0.750  0.625
Ca  0.375  0.125  0.250
Ca  0.125  0.375  0.750
Ca  0.750  0.125  0.375
Ca  0.750  0.625  0.875
Ca  0.875  0.625  0.250
Ca  0.125  0.250  0.375
Ca  0.625  0.250  0.875
Ca  0.250  0.375  0.125
Ca  0.625  0.875  0.750
Ca  0.375  0.750  0.125
Cr  0.000  0.500  0.500
Cr  0.500  0.000  0.500
Cr  0.500  0.500  0.000
Cr  0.000  0.000  0.500
Cr  0.500  0.000  0.000
Cr  0.000  0.000  0.000
Cr  0.000  0.500  0.000
Cr  0.500  0.500  0.500
Si  0.625  0.750  0.375
Si  0.250  0.625  0.375
Si  0.250  0.125  0.875
Si  0.375  0.250  0.625
Si  0.125  0.875  0.250
Si  0.125  0.750  0.875
Si  0.750  0.875  0.125
Si  0.625  0.375  0.250
Si  0.750  0.375  0.625
Si  0.875  0.250  0.125
Si  0.375  0.625  0.750
Si  0.875  0.125  0.750

Output
**Calculated formation energy**: -63.8 eV/f.u.
**MP2020-corrected energy**: -8.24 eV/atom
**Mass density**: 3.700 g cm⁻³